# 1
# Ti13Pt42

A relaxed structure of Ti13Pt42 (PBE, the Materials Project).

Output
- Magnetization: 1.3 μB per formula unit
- Crystal system: triclinic
- ΔH_f (0 K): 0.077 eV/atom
- Final energy: -6.4249 eV per atom

a = 10.868 Å, b = 11.790 Å, c = 11.986 Å
α = 90.75°, β = 90.14°, γ = 94.77°
Positions (direct):
Pt (0.101, 0.623, 0.720)
Pt (0.520, 0.956, 0.605)
Pt (0.561, 0.238, 0.772)
Pt (0.185, 0.725, 0.264)
Pt (0.920, 0.556, 0.434)
Pt (0.127, 0.502, 0.313)
Pt (0.609, 0.866, 0.392)
Pt (0.143, 0.693, 0.486)
Pt (0.480, 0.044, 0.395)
Pt (0.661, 0.157, 0.572)
Pt (0.931, 0.719, 0.605)
Pt (0.815, 0.275, 0.736)
Pt (0.565, 0.640, 0.925)
Pt (0.527, 0.787, 0.756)
Pt (0.318, 0.552, 0.167)
Pt (0.873, 0.498, 0.687)
Pt (0.682, 0.448, 0.833)
Pt (0.435, 0.360, 0.075)
Pt (0.315, 0.222, 0.814)
Pt (0.339, 0.843, 0.428)
Pt (0.473, 0.213, 0.244)
Pt (0.795, 0.578, 0.236)
Pt (0.283, 0.172, 0.404)
Pt (0.812, 0.752, 0.397)
Pt (0.205, 0.422, 0.764)
Pt (0.080, 0.444, 0.566)
Pt (0.717, 0.828, 0.596)
Pt (0.391, 0.134, 0.608)
Pt (0.899, 0.377, 0.280)
Pt (0.685, 0.778, 0.186)
Pt (0.744, 0.675, 0.765)
Pt (0.302, 0.786, 0.649)
Pt (0.188, 0.248, 0.603)
Pt (0.857, 0.307, 0.514)
Pt (0.572, 0.569, 0.129)
Pt (0.698, 0.214, 0.351)
Pt (0.256, 0.325, 0.235)
Pt (0.428, 0.431, 0.871)
Pt (0.439, 0.762, 0.228)
Pt (0.666, 0.369, 0.182)
Pt (0.069, 0.281, 0.395)
Pt (0.334, 0.631, 0.818)
Ti (0.500, 0.500, 0.500)
Ti (0.717, 0.429, 0.388)
Ti (0.504, 0.255, 0.456)
Ti (0.603, 0.652, 0.333)
Ti (0.667, 0.375, 0.628)
Ti (0.466, 0.431, 0.273)
Ti (0.269, 0.386, 0.445)
Ti (0.534, 0.569, 0.727)
Ti (0.397, 0.348, 0.667)
Ti (0.283, 0.571, 0.612)
Ti (0.496, 0.745, 0.544)
Ti (0.731, 0.614, 0.555)
Ti (0.333, 0.625, 0.372)

---

# 2
# CaB4H20N2

A relaxed structure of CaB4H20N2 (PBE, the Materials Project).

Output
- E (MP2020): -244.72 eV/cell
- Magnetization: 0.0 μB per formula unit
- Crystal system: orthorhombic
- ΔH_f (0 K): -0.337 eV/atom
- Final energy: -4.5051 eV per atom

a = 7.985 Å, b = 7.985 Å, c = 8.397 Å
α = 90.00°, β = 90.00°, γ = 117.74°
Positions (direct):
N (0.987, 0.611, 0.500)
N (0.111, 0.487, 0.000)
N (0.487, 0.111, 0.000)
N (0.611, 0.987, 0.500)
H (0.526, 0.852, 0.935)
H (0.166, 0.444, 0.908)
H (0.609, 0.220, 0.954)
H (0.944, 0.666, 0.408)
H (0.109, 0.720, 0.546)
H (0.588, 0.423, 0.321)
H (0.884, 0.576, 0.586)
H (0.384, 0.076, 0.914)
H (0.658, 0.991, 0.135)
H (0.702, 0.741, 0.713)
H (0.472, 0.599, 0.351)
H (0.543, 0.531, 0.867)
H (0.380, 0.830, 0.135)
H (0.031, 0.043, 0.367)
H (0.852, 0.526, 0.065)
H (0.741, 0.702, 0.287)
H (0.923, 0.088, 0.821)
H (0.599, 0.472, 0.649)
H (0.991, 0.658, 0.865)
H (0.099, 0.972, 0.851)
H (0.491, 0.158, 0.635)
H (0.241, 0.202, 0.213)
H (0.352, 0.026, 0.435)
H (0.830, 0.380, 0.865)
H (0.026, 0.352, 0.565)
H (0.330, 0.880, 0.635)
H (0.576, 0.884, 0.414)
H (0.531, 0.543, 0.133)
H (0.202, 0.241, 0.787)
H (0.666, 0.944, 0.592)
H (0.972, 0.099, 0.149)
H (0.076, 0.384, 0.086)
H (0.880, 0.330, 0.365)
H (0.423, 0.588, 0.679)
H (0.088, 0.923, 0.179)
H (0.158, 0.491, 0.365)
H (0.043, 0.031, 0.633)
H (0.444, 0.166, 0.092)
H (0.720, 0.109, 0.454)
H (0.220, 0.609, 0.046)
B (0.067, 0.083, 0.773)
B (0.934, 0.514, 0.946)
B (0.434, 0.014, 0.554)
B (0.083, 0.067, 0.227)
B (0.583, 0.567, 0.273)
B (0.567, 0.583, 0.727)
B (0.514, 0.934, 0.054)
B (0.014, 0.434, 0.446)
Ca (0.303, 0.303, 0.500)
Ca (0.803, 0.803, 0.000)

---

# 3
# Pb3SO6

A relaxed structure of Pb3SO6 (PBE, the Materials Project).

Output
- E (MP2020): -125.10 eV/cell
- Crystal system: triclinic
- ΔH_f (0 K): -1.759 eV/atom
- Final energy: -5.8426 eV per atom

a = 5.892 Å, b = 7.436 Å, c = 8.325 Å
α = 103.76°, β = 91.06°, γ = 91.58°
Positions (direct):
O (0.007, 0.173, 0.621)
O (0.506, 0.180, 0.620)
O (0.993, 0.827, 0.379)
O (0.512, 0.595, 0.842)
O (0.766, 0.828, 0.020)
O (0.234, 0.172, 0.980)
O (0.920, 0.558, 0.827)
O (0.494, 0.820, 0.380)
O (0.251, 0.194, 0.277)
O (0.080, 0.442, 0.173)
O (0.488, 0.405, 0.158)
O (0.749, 0.806, 0.723)
S (0.265, 0.301, 0.144)
S (0.735, 0.699, 0.856)
Pb (0.743, 0.609, 0.414)
Pb (0.252, 0.923, 0.622)
Pb (0.748, 0.077, 0.378)
Pb (0.767, 0.235, 0.842)
Pb (0.233, 0.765, 0.158)
Pb (0.257, 0.391, 0.586)

---

# 4
# CdPd

A relaxed structure of CdPd (PBE, the Materials Project).

Output
- Crystal system: tetragonal
- ΔH_f (0 K): -0.410 eV/atom
- Final energy: -3.4615 eV per atom

a = 3.061 Å, b = 3.061 Å, c = 3.763 Å
α = 90.00°, β = 90.00°, γ = 90.00°
Positions (direct):
Cd (0.000, 0.000, 0.000)
Pd (0.500, 0.500, 0.500)

---

- Look up the final energy of the third one.
  -5.8426 eV per atom